Record 1
MgSi2: relaxed, PBE.

Lattice parameters (Å, degrees): 5.2024 5.4411 7.7563 108.26 91.89 91.29
Atoms (fractional coordinates):
Mg: 0.0000 0.0000 0.0000
Mg: 0.0071 0.3660 0.3893
Mg: 0.0323 0.3827 0.7678
Mg: 0.6998 0.8699 0.4772
Si: 0.1822 0.8691 0.3351
Si: 0.2282 0.8201 0.6572
Si: 0.3575 0.4883 0.1012
Si: 0.4917 0.1548 0.2368
Si: 0.5178 0.7794 0.9397
Si: 0.5265 0.1874 0.8056
Si: 0.5309 0.4342 0.5844
Si: 0.8636 0.5507 0.1139

Computed properties:
The calculation puts the total magnetic moment at 0.00 μB/cell. Its space-group type is P1, No. 1. For the offset from the most stable computed form, the calculation gives 0.140 eV per atom. As for the crystal system: triclinic. For the energy of formation from the pure elements, the calculation gives 0.217 eV per atom.



Record 2
Ag2S: relaxed, PBE.

Lattice parameters (Å, degrees): 4.3702 4.3702 7.9811 90.00 90.00 116.14
Atoms (fractional coordinates):
Ag: 0.0000 0.0000 0.0000
Ag: 0.0000 0.0000 0.5000
Ag: 0.4569 0.5431 0.7500
Ag: 0.5431 0.4569 0.2500
S: 0.1834 0.8166 0.2500
S: 0.8166 0.1834 0.7500

Computed properties:
Its space-group type is Cmcm, No. 63. As for the crystal system: orthorhombic. For the energy of formation from the pure elements, the calculation gives -0.224 eV per atom.



Record 3
LaTlPd: relaxed, PBE.

Lattice parameters (Å, degrees): 8.0420 8.0420 4.0367 90.00 90.00 120.00
Atoms (fractional coordinates):
La: 0.0000 0.5910 0.0000
La: 0.4090 0.4090 0.0000
La: 0.5910 0.0000 0.0000
Tl: 0.0000 0.2577 0.5000
Tl: 0.2577 0.0000 0.5000
Tl: 0.7423 0.7423 0.5000
Pd: 0.0000 0.0000 0.0000
Pd: 0.3333 0.6667 0.5000
Pd: 0.6667 0.3333 0.5000

Computed properties:
Its space-group type is P-62m, No. 189. As for the crystal system: hexagonal. For the energy of formation from the pure elements, the calculation gives -0.687 eV per atom.



Record 4
Ba8Cu4Hg4O17: relaxed, PBE.

Lattice parameters (Å, degrees): 8.6664 8.6664 10.4244 109.41 109.41 53.11
Atoms (fractional coordinates):
Ba: 0.0698 0.0698 0.2791
Ba: 0.1768 0.1768 0.7070
Ba: 0.3230 0.3230 0.2916
Ba: 0.4267 0.4267 0.7064
Ba: 0.5733 0.5733 0.2936
Ba: 0.6770 0.6770 0.7084
Ba: 0.8232 0.8232 0.2930
Ba: 0.9302 0.9302 0.7209
Cu: 0.0000 0.5000 0.5000
Cu: 0.2481 0.7519 0.5000
Cu: 0.5000 0.0000 0.5000
Cu: 0.7519 0.2481 0.5000
Hg: 0.1213 0.6362 0.0000
Hg: 0.3638 0.8787 0.0000
Hg: 0.6362 0.1213 0.0000
Hg: 0.8787 0.3638 0.0000
O: 0.0000 0.0000 0.0000
O: 0.0000 0.0000 0.5000
O: 0.0747 0.5660 0.7886
O: 0.1272 0.6224 0.4993
O: 0.1803 0.6717 0.2114
O: 0.2510 0.2510 0.5009
O: 0.3283 0.8197 0.7886
O: 0.3776 0.8728 0.5007
O: 0.4340 0.9253 0.2114
O: 0.5000 0.5000 0.5000
O: 0.5660 0.0747 0.7886
O: 0.6224 0.1272 0.4993
O: 0.6717 0.1803 0.2114
O: 0.7490 0.7490 0.4991
O: 0.8197 0.3283 0.7886
O: 0.8728 0.3776 0.5007
O: 0.9253 0.4340 0.2114

Computed properties:
The calculation puts the total magnetic moment at 0.10 μB/cell. Its space-group type is C2/m, No. 12. As for the crystal system: monoclinic. For the energy of formation from the pure elements, the calculation gives -1.912 eV per atom.



Record 5
Y6FeSi2S14: relaxed, PBE.

Lattice parameters (Å, degrees): 9.8797 9.8797 5.6469 90.00 90.00 120.00
Atoms (fractional coordinates):
Y: 0.0216 0.5643 0.0000
Y: 0.3113 0.1012 0.4952
Y: 0.4357 0.4572 0.0000
Y: 0.5428 0.9784 0.0000
Y: 0.7899 0.6887 0.4952
Y: 0.8988 0.2101 0.4952
Fe: 0.6667 0.3333 0.2631
Si: 0.0000 0.0000 0.9126
Si: 0.3333 0.6667 0.4118
S: 0.0000 0.0000 0.2847
S: 0.0783 0.8520 0.7627
S: 0.1480 0.2263 0.7627
S: 0.1878 0.4405 0.2606
S: 0.2526 0.8122 0.2606
S: 0.3333 0.6667 0.7836
S: 0.4218 0.1745 0.0238
S: 0.5054 0.4184 0.5028
S: 0.5595 0.7474 0.2606
S: 0.5816 0.0870 0.5028
S: 0.7527 0.5782 0.0238
S: 0.7737 0.9217 0.7627
S: 0.8255 0.2473 0.0238
S: 0.9130 0.4946 0.5028

Computed properties:
The calculation puts the total magnetic moment at 4.00 μB/cell. Its space-group type is P3, No. 143. As for the crystal system: trigonal. For the energy of formation from the pure elements, the calculation gives -1.854 eV per atom.



Record 6
HfP2H6O10: relaxed, PBE.

Lattice parameters (Å, degrees): 5.4137 6.6364 12.5312 90.00 98.93 90.00
Atoms (fractional coordinates):
Hf: 0.2006 0.0000 0.3748
Hf: 0.7994 0.5000 0.6252
P: 0.2401 0.4995 0.4417
P: 0.3474 0.5783 0.8016
P: 0.6526 0.0783 0.1984
P: 0.7599 0.9995 0.5583
H: 0.0088 0.1392 0.9752
H: 0.0478 0.0789 0.0986
H: 0.1329 0.4033 0.1156
H: 0.1668 0.5636 0.2109
H: 0.4038 0.0370 0.0505
H: 0.4889 0.8945 0.8269
H: 0.5111 0.3945 0.1731
H: 0.5962 0.5370 0.9495
H: 0.8332 0.0636 0.7891
H: 0.8671 0.9033 0.8844
H: 0.9522 0.5789 0.9014
H: 0.9912 0.6392 0.0248
O: 0.0604 0.5015 0.5261
O: 0.0792 0.5060 0.7661
O: 0.1257 0.1527 0.0443
O: 0.1948 0.6861 0.3670
O: 0.1959 0.3100 0.3709
O: 0.2089 0.5345 0.1389
O: 0.3306 0.8161 0.8072
O: 0.4226 0.4897 0.9188
O: 0.4625 0.0119 0.2692
O: 0.4875 0.0012 0.4995
O: 0.5125 0.5012 0.5005
O: 0.5375 0.5119 0.7308
O: 0.5774 0.9897 0.0812
O: 0.6694 0.3161 0.1928
O: 0.7911 0.0345 0.8611
O: 0.8041 0.8100 0.6291
O: 0.8052 0.1861 0.6330
O: 0.8743 0.6527 0.9557
O: 0.9208 0.0060 0.2339
O: 0.9396 0.0015 0.4739

Computed properties:
The calculation puts the total magnetic moment at 0.00 μB/cell. Its space-group type is P2_1, No. 4. As for the crystal system: monoclinic. For the energy of formation from the pure elements, the calculation gives -2.264 eV per atom.



no.,V (Å³ per cell)
1,208.26
2,136.84
3,226.09
4,581.38
5,477.34
6,444.76